Record 1
# Li4MnCo2O7

An optimized crystal structure of Li4MnCo2O7 (GGA+U, the Materials Project).

The final energy is -5.82 eV per atom.

abc: 14.862 14.862 5.912
angles: 83.52 83.52 11.21
Sites, in units of the cell vectors:
Li  0.571  0.571  0.209
Li  0.711  0.711  0.641
Li  0.859  0.859  0.069
Li  0.136  0.136  0.925
Li  0.285  0.285  0.360
Li  0.431  0.431  0.783
Li  0.006  0.006  0.503
Li  0.571  0.571  0.720
Mn  0.003  0.003  0.995
Mn  0.286  0.286  0.857
Co  0.135  0.135  0.447
Co  0.429  0.429  0.288
Co  0.709  0.709  0.153
Co  0.860  0.860  0.565
O  0.499  0.499  0.225
O  0.643  0.643  0.663
O  0.786  0.786  0.078
O  0.065  0.065  0.969
O  0.215  0.215  0.374
O  0.353  0.353  0.810
O  0.930  0.930  0.524
O  0.646  0.646  0.186
O  0.787  0.787  0.636
O  0.933  0.933  0.051
O  0.221  0.221  0.904
O  0.359  0.359  0.330
O  0.500  0.500  0.779
O  0.074  0.074  0.458



Record 2
# Li7Mn4CoO12

An optimized crystal structure of Li7Mn4CoO12 (GGA+U, the Materials Project).

The final energy is -6.20 eV per atom.

abc: 5.076 7.750 5.984
angles: 103.76 91.24 107.10
Sites, in units of the cell vectors:
Li  0.494  0.993  0.752
Li  0.506  0.341  0.582
Li  0.483  0.990  0.251
Li  0.517  0.344  0.083
Li  0.484  0.667  0.913
Li  0.516  0.666  0.420
Li  0.000  0.667  0.667
Mn  0.003  0.993  0.995
Mn  0.997  0.340  0.338
Mn  0.007  0.340  0.832
Mn  0.993  0.993  0.502
Co  0.000  0.667  0.167
O  0.241  0.844  0.960
O  0.232  0.169  0.773
O  0.220  0.832  0.438
O  0.206  0.152  0.301
O  0.237  0.500  0.106
O  0.219  0.480  0.634
O  0.768  0.165  0.561
O  0.759  0.490  0.373
O  0.794  0.182  0.032
O  0.780  0.502  0.896
O  0.781  0.854  0.700
O  0.763  0.833  0.228



Record 3
# Li7Mn4CoO12

An optimized crystal structure of Li7Mn4CoO12 (GGA+U, the Materials Project).

The final energy is -6.20 eV per atom.

abc: 5.109 5.109 15.861
angles: 82.63 82.63 32.75
Sites, in units of the cell vectors:
Li  0.254  0.254  0.077
Li  0.747  0.747  0.253
Li  0.237  0.237  0.429
Li  0.746  0.746  0.596
Li  0.271  0.271  0.739
Li  0.758  0.758  0.903
Li  0.000  0.000  0.666
Mn  0.005  0.005  0.994
Mn  0.485  0.485  0.512
Mn  0.505  0.505  0.165
Mn  0.989  0.989  0.340
Co  0.518  0.518  0.811
O  0.387  0.387  0.967
O  0.896  0.896  0.121
O  0.379  0.379  0.297
O  0.876  0.876  0.467
O  0.382  0.382  0.615
O  0.887  0.887  0.794
O  0.119  0.119  0.204
O  0.600  0.600  0.381
O  0.103  0.103  0.538
O  0.630  0.630  0.713
O  0.107  0.107  0.885
O  0.617  0.617  0.034



Record 4
# Li4MnCo2O7

An optimized crystal structure of Li4MnCo2O7 (GGA+U, the Materials Project).

The final energy is -5.80 eV per atom.

abc: 3.018 9.769 9.814
angles: 116.39 92.73 97.03
Sites, in units of the cell vectors:
Li  0.786  0.577  0.146
Li  0.065  0.139  0.284
Li  0.361  0.720  0.427
Li  0.639  0.280  0.573
Li  0.935  0.861  0.716
Li  0.214  0.423  0.854
Li  0.500  0.000  0.000
Li  0.000  0.000  0.500
Mn  0.865  0.716  0.933
Mn  0.135  0.284  0.067
Co  0.423  0.863  0.228
Co  0.708  0.429  0.357
Co  0.292  0.571  0.643
Co  0.577  0.137  0.772
O  0.305  0.661  0.048
O  0.572  0.225  0.181
O  0.863  0.793  0.314
O  0.191  0.369  0.468
O  0.472  0.948  0.626
O  0.779  0.513  0.753
O  0.018  0.082  0.892
O  0.221  0.487  0.247
O  0.528  0.052  0.374
O  0.809  0.631  0.532
O  0.137  0.207  0.686
O  0.428  0.775  0.819
O  0.695  0.339  0.952
O  0.982  0.918  0.108



Record 5
# Li4MnCo2O7

An optimized crystal structure of Li4MnCo2O7 (GGA+U, the Materials Project).

The final energy is -5.81 eV per atom.

abc: 2.988 7.776 11.200
angles: 79.98 82.96 82.52
Sites, in units of the cell vectors:
Li  0.777  0.362  0.063
Li  0.922  0.785  0.358
Li  0.067  0.215  0.653
Li  0.242  0.638  0.923
Li  0.365  0.071  0.216
Li  0.498  0.500  0.504
Li  0.628  0.941  0.784
Li  0.454  0.277  0.851
Mn  0.991  0.009  0.996
Mn  0.152  0.428  0.284
Co  0.276  0.853  0.574
Co  0.551  0.718  0.143
Co  0.721  0.139  0.433
Co  0.867  0.562  0.719
O  0.421  0.157  0.031
O  0.511  0.608  0.311
O  0.624  0.031  0.601
O  0.823  0.484  0.876
O  0.928  0.886  0.170
O  0.133  0.316  0.455
O  0.241  0.744  0.739
O  0.197  0.544  0.110
O  0.295  0.963  0.408
O  0.498  0.409  0.680
O  0.562  0.840  0.977
O  0.794  0.247  0.257
O  0.923  0.677  0.551
O  0.039  0.096  0.833



Record 6
# Li4MnCo2O7

An optimized crystal structure of Li4MnCo2O7 (GGA+U, the Materials Project).

The final energy is -5.80 eV per atom.

abc: 3.029 8.037 10.697
angles: 78.56 86.88 89.12
Sites, in units of the cell vectors:
Li  0.145  0.067  0.710
Li  0.855  0.929  0.287
Li  0.573  0.783  0.856
Li  0.715  0.357  0.570
Li  0.427  0.215  0.145
Li  0.286  0.646  0.431
Li  0.001  0.502  0.001
Li  0.714  0.858  0.571
Mn  0.999  0.997  0.002
Mn  0.574  0.290  0.855
Co  0.428  0.711  0.145
Co  0.149  0.585  0.706
Co  0.858  0.427  0.286
Co  0.282  0.132  0.434
O  0.594  0.043  0.859
O  0.291  0.918  0.425
O  0.021  0.753  0.009
O  0.159  0.341  0.718
O  0.876  0.189  0.295
O  0.728  0.605  0.581
O  0.449  0.473  0.151
O  0.697  0.111  0.560
O  0.411  0.952  0.140
O  0.135  0.798  0.717
O  0.267  0.376  0.420
O  0.978  0.243  0.997
O  0.838  0.667  0.280
O  0.551  0.531  0.848



Short version: total energy after the MP2020 corrections = -182.38; -165.42; -165.25; -181.90; -182.06; -182.01 eV per cell, in the order given.
Short version: energy above the lowest structure with this stoichiometry = 60; 46; 53; 77; 71; 73 meV/atom, in the order given.
Short version: volume = 252.32; 217.48; 221.99; 255.55; 252.74; 254.82 Å³/cell, in the order given.